Computed, not measured: an optimized crystal structure of FeRe2Mo2S8 at the PBE-GGA level of DFT.

Unit cell a=6.845 b=6.911 c=9.679 alpha=90.00 beta=90.00 gamma=90.00
Space group Imm2 (No. 44)
Asymmetric unit:
Fe1 0.000 0.000 0.000 x2
Re1 0.206 0.000 0.395 x4
Mo1 0.000 0.204 0.602 x4
S1 0.000 0.266 0.364 x4
S2 0.000 0.276 0.866 x4
S3 0.230 0.500 0.133 x4
S4 0.232 0.500 0.637 x4

Formation energy from the elements in eV/atom: -0.898



Computed, not measured: an optimized crystal structure of FeMo2S4 at the PBE-GGA level of DFT.

Unit cell a=6.422 b=6.756 c=11.962 alpha=80.45 beta=74.47 gamma=61.64
Space group P1 (No. 1)
Asymmetric unit:
Fe1 0.000 0.000 0.000 x1
Fe2 0.245 0.499 0.500 x1
Fe3 0.489 0.008 0.000 x1
Fe4 0.743 0.508 0.500 x1
Mo1 0.077 0.557 0.759 x1
Mo2 0.142 0.945 0.739 x1
Mo3 0.325 0.061 0.261 x1
Mo4 0.415 0.443 0.240 x1
Mo5 0.593 0.563 0.760 x1
Mo6 0.660 0.951 0.740 x1
Mo7 0.851 0.056 0.260 x1
Mo8 0.893 0.451 0.241 x1
S1 0.004 0.341 0.635 x1
S2 0.030 0.827 0.599 x1
S3 0.210 0.671 0.895 x1
S4 0.232 0.162 0.861 x1
S5 0.262 0.840 0.136 x1
S6 0.276 0.336 0.104 x1
S7 0.466 0.168 0.396 x1
S8 0.479 0.665 0.365 x1
S9 0.505 0.346 0.637 x1
S10 0.525 0.838 0.603 x1
S11 0.705 0.681 0.900 x1
S12 0.732 0.166 0.864 x1
S13 0.754 0.846 0.139 x1
S14 0.787 0.327 0.100 x1
S15 0.955 0.180 0.402 x1
S16 0.987 0.661 0.363 x1

Formation energy from the elements in eV/atom: -0.890



Computed, not measured: an optimized crystal structure of FeMo6S8 at the PBE-GGA level of DFT.

Unit cell a=9.3784 b=9.3784 c=10.7105 alpha=90.00 beta=90.00 gamma=120.00
Space group R-3 (No. 148, hexagonal axes)
Asymmetric unit:
Fe1 0.0000 0.0000 0.0000 x3
Mo1 0.0167 0.1750 0.3929 x18
S1 0.0000 0.0000 0.2167 x6
S2 0.0098 0.3828 0.2519 x18

Formation energy from the elements in eV/atom: -0.757



Computed, not measured: an optimized crystal structure of FeMo2S4 at the PBE-GGA level of DFT.

Unit cell a=11.848 b=6.490 c=13.011 alpha=90.00 beta=115.28 gamma=90.00
Space group Cc (No. 9)
Asymmetric unit:
Fe1 0.000 0.119 0.000 x4
Fe2 0.489 0.127 0.998 x4
Mo1 0.147 0.396 0.756 x4
Mo2 0.154 0.141 0.259 x4
Mo3 0.334 0.146 0.741 x4
Mo4 0.341 0.391 0.243 x4
S1 0.001 0.381 0.858 x4
S2 0.011 0.129 0.365 x4
S3 0.206 0.381 0.600 x4
S4 0.221 0.125 0.110 x4
S5 0.267 0.130 0.889 x4
S6 0.282 0.378 0.399 x4
S7 0.478 0.134 0.633 x4
S8 0.487 0.376 0.141 x4

Formation energy from the elements in eV/atom: -0.887



Computed, not measured: an optimized crystal structure of FeMo2S4 at the PBE-GGA level of DFT.

Unit cell a=6.422 b=6.757 c=11.964 alpha=80.43 beta=74.43 gamma=61.62
Space group P1 (No. 1)
Asymmetric unit:
Fe1 0.000 0.000 0.000 x1
Fe2 0.244 0.500 0.500 x1
Fe3 0.497 0.006 0.000 x1
Fe4 0.741 0.506 0.500 x1
Mo1 0.098 0.570 0.760 x1
Mo2 0.167 0.958 0.740 x1
Mo3 0.337 0.063 0.259 x1
Mo4 0.379 0.458 0.240 x1
Mo5 0.573 0.548 0.760 x1
Mo6 0.642 0.935 0.740 x1
Mo7 0.815 0.070 0.260 x1
Mo8 0.905 0.452 0.239 x1
S1 0.011 0.352 0.637 x1
S2 0.025 0.828 0.604 x1
S3 0.213 0.687 0.900 x1
S4 0.232 0.157 0.866 x1
S5 0.243 0.852 0.137 x1
S6 0.275 0.334 0.098 x1
S7 0.443 0.187 0.400 x1
S8 0.476 0.668 0.361 x1
S9 0.509 0.348 0.635 x1
S10 0.527 0.818 0.600 x1
S11 0.716 0.678 0.896 x1
S12 0.729 0.153 0.863 x1
S13 0.751 0.848 0.135 x1
S14 0.764 0.345 0.104 x1
S15 0.954 0.178 0.396 x1
S16 0.968 0.674 0.364 x1

Formation energy from the elements in eV/atom: -0.850



Computed, not measured: an optimized crystal structure of SmFe11Mo at the PBE-GGA level of DFT.

Unit cell a=9.757 b=8.521 c=4.695 alpha=90.00 beta=118.67 gamma=90.00
Space group Cm (No. 8)
Asymmetric unit:
Sm1 0.000 0.000 0.000 x2
Fe1 0.007 0.359 0.007 x4
Fe2 0.008 0.225 0.508 x4
Fe3 0.147 0.500 0.647 x2
Fe4 0.236 0.000 0.736 x2
Fe5 0.255 0.251 0.005 x4
Fe6 0.255 0.251 0.506 x4
Fe7 0.275 0.500 0.275 x2
Mo1 0.373 0.000 0.373 x2

Formation energy from the elements in eV/atom: 0.011



Computed, not measured: an optimized crystal structure of Ta2FeMo at the PBE-GGA level of DFT.

Unit cell a=6.304 b=6.304 c=6.304 alpha=90.00 beta=90.00 gamma=90.00
Space group Fm-3m (No. 225)
Asymmetric unit:
Ta1 0.250 0.250 0.250 x8
Fe1 0.000 0.000 0.000 x4
Mo1 0.000 0.000 0.500 x4

Formation energy from the elements in eV/atom: -0.169



Computed, not measured: an optimized crystal structure of TbFe9Mo3 at the PBE-GGA level of DFT.

Unit cell a=4.788 b=8.537 c=8.635 alpha=90.00 beta=90.00 gamma=90.00
Space group Imm2 (No. 44)
Asymmetric unit:
Tb1 0.000 0.000 0.000 x2
Fe1 0.000 0.000 0.351 x2
Fe2 0.000 0.280 0.490 x4
Fe3 0.000 0.500 0.274 x2
Fe4 0.000 0.500 0.712 x2
Fe5 0.249 0.250 0.241 x8
Mo1 0.000 0.000 0.633 x2
Mo2 0.000 0.357 0.988 x4

Formation energy from the elements in eV/atom: -0.008



Computed, not measured: an optimized crystal structure of TbFe10Mo2 at the PBE-GGA level of DFT.

Unit cell a=4.727 b=8.560 c=8.610 alpha=90.00 beta=90.00 gamma=90.00
Space group Immm (No. 71)
Asymmetric unit:
Tb1 0.000 0.000 0.000 x2
Fe1 0.000 0.280 0.500 x4
Fe2 0.000 0.358 0.000 x4
Fe3 0.000 0.500 0.275 x4
Fe4 0.250 0.250 0.250 x8
Mo1 0.000 0.000 0.357 x4

Formation energy from the elements in eV/atom: -0.004



Computed, not measured: an optimized crystal structure of UFe10Mo2 at the PBE-GGA level of DFT.

Unit cell a=4.663 b=8.536 c=8.647 alpha=90.00 beta=90.00 gamma=90.00
Space group Immm (No. 71)
Asymmetric unit:
U1 0.000 0.000 0.000 x2
Fe1 0.000 0.288 0.500 x4
Fe2 0.000 0.354 0.000 x4
Fe3 0.000 0.500 0.275 x4
Fe4 0.250 0.250 0.250 x8
Mo1 0.000 0.000 0.357 x4

Formation energy from the elements in eV/atom: 0.028



Computed, not measured: an optimized crystal structure of YFe11Mo at the PBE-GGA level of DFT.

Unit cell a=4.694 b=8.473 c=8.522 alpha=90.00 beta=90.00 gamma=90.00
Space group Imm2 (No. 44)
Asymmetric unit:
Y1 0.000 0.000 0.000 x2
Fe1 0.000 0.000 0.352 x2
Fe2 0.000 0.277 0.492 x4
Fe3 0.000 0.359 0.993 x4
Fe4 0.000 0.500 0.267 x2
Fe5 0.000 0.500 0.723 x2
Fe6 0.250 0.249 0.245 x8
Mo1 0.000 0.000 0.627 x2

Formation energy from the elements in eV/atom: -0.011



Computed, not measured: an optimized crystal structure of YFe10Mo2 at the PBE-GGA level of DFT.

Unit cell a=4.752 b=8.515 c=8.613 alpha=90.00 beta=90.00 gamma=90.00
Space group Immm (No. 71)
Asymmetric unit:
Y1 0.000 0.000 0.000 x2
Fe1 0.000 0.281 0.500 x4
Fe2 0.000 0.359 0.000 x4
Fe3 0.000 0.500 0.275 x4
Fe4 0.250 0.250 0.250 x8
Mo1 0.000 0.000 0.358 x4

Formation energy from the elements in eV/atom: -0.005



Computed, not measured: an optimized crystal structure of ZrFeMo at the PBE-GGA level of DFT.

Unit cell a=8.486 b=5.203 c=9.039 alpha=90.00 beta=90.00 gamma=90.00
Space group Amm2 (No. 38)
Asymmetric unit:
Zr1 0.182 0.000 0.000 x4
Zr2 0.302 0.000 0.669 x4
Fe1 0.000 0.247 0.744 x4
Fe2 0.236 0.000 0.330 x4
Mo1 0.000 0.000 0.496 x2
Mo2 0.500 0.000 0.164 x2
Mo3 0.500 0.250 0.416 x4

Formation energy from the elements in eV/atom: -0.135



Computed, not measured: an optimized crystal structure of Zr9FeMo4 at the PBE-GGA level of DFT.

Unit cell a=8.8280 b=8.8280 c=8.4272 alpha=90.00 beta=90.00 gamma=120.00
Space group P6_3/mmc (No. 194)
Asymmetric unit:
Zr1 0.0797 0.5399 0.2500 x6
Zr2 0.2014 0.4028 0.5574 x12
Fe1 0.3333 0.6667 0.7500 x2
Mo1 0.0000 0.0000 0.0000 x2
Mo2 0.1105 0.2210 0.2500 x6

Formation energy from the elements in eV/atom: -0.090



Computed, not measured: an optimized crystal structure of Fe4N at the PBE-GGA level of DFT.

Unit cell a=2.5754 b=2.5754 c=25.3729 alpha=90.00 beta=90.00 gamma=120.00
Space group R-3m (No. 166, hexagonal axes)
Asymmetric unit:
Fe1 0.0000 0.0000 0.1186 x6
Fe2 0.0000 0.0000 0.3714 x6
N1 0.0000 0.0000 0.5000 x3

Formation energy from the elements in eV/atom: 0.089